Record 1
Entry from Materials Project: a relaxed Li4Ni2C4SO16 crystal (PBE+U).

Cell: 9.663 9.590 9.279 Å, 61.58 60.79 57.62°
Fractional positions:
1 Li 0.083 0.667 0.667
2 Li 0.084 0.666 0.084
3 Li 0.333 0.917 0.917
4 Li 0.334 0.916 0.334
5 Li 0.666 0.084 0.666
6 Li 0.667 0.083 0.083
7 Li 0.916 0.334 0.916
8 Li 0.917 0.333 0.333
9 Ni 0.000 0.500 0.500
10 Ni 0.500 0.000 0.500
11 Ni 0.500 0.500 0.000
12 Ni 0.500 0.500 0.500
13 C 0.269 0.658 0.289
14 C 0.285 0.289 0.658
15 C 0.289 0.285 0.269
16 C 0.342 0.731 0.715
17 C 0.658 0.269 0.285
18 C 0.711 0.715 0.731
19 C 0.715 0.711 0.342
20 C 0.731 0.342 0.711
21 S 0.125 0.125 0.125
22 S 0.875 0.875 0.875
23 O 0.047 0.319 0.068
24 O 0.067 0.068 0.319
25 O 0.068 0.067 0.047
26 O 0.136 0.648 0.421
27 O 0.141 0.306 0.663
28 O 0.141 0.415 0.278
29 O 0.278 0.667 0.141
30 O 0.295 0.421 0.648
31 O 0.306 0.141 0.390
32 O 0.319 0.047 0.067
33 O 0.333 0.722 0.585
34 O 0.337 0.610 0.859
35 O 0.352 0.864 0.705
36 O 0.390 0.663 0.306
37 O 0.415 0.141 0.667
38 O 0.421 0.295 0.136
39 O 0.579 0.705 0.864
40 O 0.585 0.859 0.333
41 O 0.610 0.337 0.694
42 O 0.648 0.136 0.295
43 O 0.663 0.390 0.141
44 O 0.667 0.278 0.415
45 O 0.681 0.953 0.933
46 O 0.694 0.859 0.610
47 O 0.705 0.579 0.352
48 O 0.722 0.333 0.859
49 O 0.859 0.585 0.722
50 O 0.859 0.694 0.337
51 O 0.864 0.352 0.579
52 O 0.932 0.933 0.953
53 O 0.933 0.932 0.681
54 O 0.953 0.681 0.932

As for the calculated volume: 11.23 Å³ per atom. As for the formation energy: -1.810 eV per atom. As for the space-group type: Fddd (70). The theoretical density comes out at 2636 kg/m³.


Record 2
Entry from Materials Project: a relaxed Cr2CuO4 crystal (PBE+U).

Cell: 5.889 5.889 5.889 Å, 117.62 117.56 94.23°
Fractional positions:
1 Cr 0.250 0.000 0.250
2 Cr 0.250 0.000 0.750
3 Cr 0.250 0.500 0.250
4 Cr 0.750 0.000 0.750
5 Cu 0.631 0.631 0.000
6 Cu 0.879 0.379 0.500
7 O 0.031 0.748 0.283
8 O 0.032 0.249 0.783
9 O 0.465 0.748 0.717
10 O 0.466 0.249 0.217
11 O 0.499 0.217 0.717
12 O 0.499 0.782 0.283
13 O 0.998 0.215 0.217
14 O 0.998 0.781 0.783

As for the calculated volume: 10.66 Å³ per atom. As for the formation energy: -1.933 eV per atom. As for the space-group type: Imm2 (44). The theoretical density comes out at 5153 kg/m³.